1.
{"formula": "Ho2Fe14C", "functional": "PBE", "state": "relaxed", "spacegroup": "P4_2/mnm (136)", "e_form_mev_per_atom": -75.7, "cell": [[-6.327, 0.573, -5.968], [-1.331, -8.594, 0.586], [-7.841, 1.793, 8.484]], "species": ["Fe", "Fe", "Fe", "Fe", "Fe", "Fe", "Fe", "Fe", "Fe", "Fe", "Fe", "Fe", "Fe", "Fe", "Fe", "Fe", "Fe", "Fe", "Fe", "Fe", "Fe", "Fe", "Fe", "Fe", "Fe", "Fe", "Fe", "Fe", "Fe", "Fe", "Fe", "Fe", "Fe", "Fe", "Fe", "Fe", "Fe", "Fe", "Fe", "Fe", "Fe", "Fe", "Fe", "Fe", "Fe", "Fe", "Fe", "Fe", "Fe", "Fe", "Fe", "Fe", "Fe", "Fe", "Fe", "Fe", "C", "C", "C", "C", "Ho", "Ho", "Ho", "Ho", "Ho", "Ho", "Ho", "Ho"], "fractional_positions": [[0.275, 0.064, 0.380], [0.316, 0.316, 0.245], [0.500, 0.500, 0.108], [0.597, 0.403, 0.297], [0.500, 0.000, 0.500], [0.725, 0.936, 0.380], [0.036, 0.358, 0.175], [0.000, 0.000, 0.608], [0.316, 0.316, 0.755], [0.775, 0.436, 0.880], [0.064, 0.275, 0.380], [0.536, 0.142, 0.675], [0.436, 0.775, 0.880], [0.936, 0.725, 0.620], [0.000, 0.500, 0.000], [0.097, 0.097, 0.797], [0.064, 0.275, 0.620], [0.964, 0.642, 0.175], [0.775, 0.436, 0.120], [0.903, 0.903, 0.203], [0.403, 0.597, 0.297], [0.436, 0.775, 0.120], [0.564, 0.225, 0.880], [0.225, 0.564, 0.120], [0.464, 0.858, 0.675], [0.936, 0.725, 0.380], [0.858, 0.464, 0.675], [0.184, 0.816, 0.745], [0.536, 0.142, 0.325], [0.964, 0.642, 0.825], [0.142, 0.536, 0.675], [0.464, 0.858, 0.325], [0.358, 0.036, 0.825], [0.684, 0.684, 0.755], [0.097, 0.097, 0.203], [0.000, 0.500, 0.500], [0.816, 0.184, 0.745], [0.184, 0.816, 0.255], [0.816, 0.184, 0.255], [0.358, 0.036, 0.175], [0.597, 0.403, 0.703], [0.500, 0.500, 0.892], [0.725, 0.936, 0.620], [0.000, 0.000, 0.392], [0.036, 0.358, 0.825], [0.642, 0.964, 0.825], [0.403, 0.597, 0.703], [0.642, 0.964, 0.175], [0.858, 0.464, 0.325], [0.225, 0.564, 0.880], [0.564, 0.225, 0.120], [0.903, 0.903, 0.797], [0.500, 0.000, 0.000], [0.684, 0.684, 0.245], [0.142, 0.536, 0.325], [0.275, 0.064, 0.620], [0.127, 0.127, 0.500], [0.373, 0.627, 0.000], [0.873, 0.873, 0.500], [0.627, 0.373, 0.000], [0.741, 0.741, 0.000], [0.241, 0.759, 0.500], [0.759, 0.241, 0.500], [0.356, 0.356, 0.500], [0.644, 0.644, 0.500], [0.259, 0.259, 0.000], [0.856, 0.144, 0.000], [0.144, 0.856, 0.000]]}

---

2.
{"formula": "SmO3", "functional": "PBE", "state": "relaxed", "spacegroup": "P6_3/m (176)", "corrected_energy_ev_per_atom": -6.877, "e_form_mev_per_atom": -1986.0, "cell": [[0.000, 0.000, -3.520], [-3.359, -5.817, 0.000], [-3.359, 5.817, 0.000]], "species": ["Sm", "Sm", "O", "O", "O", "O", "O", "O"], "fractional_positions": [[0.750, 0.667, 0.333], [0.250, 0.333, 0.667], [0.250, 0.942, 0.570], [0.750, 0.372, 0.942], [0.750, 0.570, 0.628], [0.250, 0.430, 0.372], [0.250, 0.628, 0.058], [0.750, 0.058, 0.430]]}

---

3.
{"formula": "HfSiPd", "functional": "PBE", "state": "relaxed", "spacegroup": "Pnma (62)", "e_form_mev_per_atom": -957.1, "cell": [[3.891, 0.000, 0.000], [0.000, 6.606, 0.000], [0.000, 0.000, 7.616]], "species": ["Pd", "Pd", "Pd", "Pd", "Hf", "Hf", "Hf", "Hf", "Si", "Si", "Si", "Si"], "fractional_positions": [[0.750, 0.857, 0.562], [0.250, 0.143, 0.438], [0.750, 0.357, 0.938], [0.250, 0.643, 0.062], [0.250, 0.528, 0.679], [0.750, 0.472, 0.321], [0.250, 0.028, 0.821], [0.750, 0.972, 0.179], [0.750, 0.742, 0.876], [0.250, 0.758, 0.376], [0.750, 0.242, 0.624], [0.250, 0.258, 0.124]]}

---

4.
{"formula": "TmCuGe", "functional": "PBE", "state": "relaxed", "spacegroup": "P6_3/mmc (194)", "e_form_mev_per_atom": -666.3, "cell": [[-2.098, -3.634, 0.000], [-2.098, 3.634, 0.000], [0.000, 0.000, -7.284]], "species": ["Cu", "Cu", "Ge", "Ge", "Tm", "Tm"], "fractional_positions": [[0.333, 0.667, 0.750], [0.667, 0.333, 0.250], [0.667, 0.333, 0.750], [0.333, 0.667, 0.250], [0.000, 0.000, 0.500], [0.000, 0.000, 0.000]]}

---

5.
{"formula": "H8PtO6", "functional": "PBE", "state": "relaxed", "e_ij_max_c_m2": 0.5, "e_above_lowest_polymorph_ev_per_atom": 0.021, "spacegroup": "Cc (9)", "corrected_energy_ev_per_atom": -5.334, "e_form_mev_per_atom": -1140.9, "cell": [[3.701, 4.207, 0.000], [-3.701, 4.207, 0.000], [0.000, 0.573, 7.290]], "species": ["O", "O", "O", "O", "O", "O", "O", "O", "O", "O", "O", "O", "H", "H", "H", "H", "H", "H", "H", "H", "H", "H", "H", "H", "H", "H", "H", "H", "Pt", "Pt"], "fractional_positions": [[0.810, 0.139, 0.926], [0.184, 0.872, 0.073], [0.872, 0.184, 0.573], [0.666, 0.663, 0.982], [0.969, 0.406, 0.241], [0.035, 0.596, 0.765], [0.316, 0.345, 0.011], [0.596, 0.035, 0.265], [0.345, 0.316, 0.511], [0.406, 0.969, 0.741], [0.139, 0.810, 0.426], [0.663, 0.666, 0.482], [0.166, 0.851, 0.213], [0.871, 0.626, 0.848], [0.755, 0.607, 0.092], [0.607, 0.755, 0.592], [0.380, 0.132, 0.648], [0.257, 0.891, 0.747], [0.132, 0.380, 0.148], [0.626, 0.871, 0.348], [0.147, 0.476, 0.839], [0.029, 0.946, 0.483], [0.891, 0.257, 0.247], [0.462, 0.438, 0.509], [0.476, 0.147, 0.339], [0.438, 0.462, 0.009], [0.851, 0.166, 0.713], [0.946, 0.029, 0.983], [0.498, 0.004, 0.004], [0.004, 0.498, 0.504]]}

---

6.
{"formula": "Tl2CN2", "functional": "PBE", "state": "relaxed", "spacegroup": "P-1 (2)", "corrected_energy_ev_per_atom": -6.161, "e_form_mev_per_atom": -35.4, "cell": [[5.401, 0.000, 0.000], [-2.655, 6.572, 0.000], [-1.354, -2.059, 9.752]], "species": ["C", "C", "C", "Tl", "Tl", "Tl", "Tl", "Tl", "Tl", "N", "N", "N", "N", "N", "N"], "fractional_positions": [[0.500, 0.500, 0.000], [0.228, 0.771, 0.358], [0.772, 0.229, 0.642], [0.175, 0.798, 0.048], [0.825, 0.202, 0.952], [0.409, 0.532, 0.685], [0.124, 0.936, 0.674], [0.591, 0.468, 0.315], [0.876, 0.064, 0.326], [0.713, 0.504, 0.067], [0.402, 0.753, 0.294], [0.598, 0.247, 0.706], [0.287, 0.496, 0.933], [0.954, 0.212, 0.585], [0.046, 0.788, 0.415]]}

---

7.
{"formula": "UGa5Co", "functional": "PBE", "state": "relaxed", "spacegroup": "P4/mmm (123)", "e_form_mev_per_atom": -328.5, "cell": [[4.244, 0.000, 0.000], [0.000, 4.244, 0.000], [0.000, 0.000, 6.698]], "species": ["Ga", "Ga", "Ga", "Ga", "Ga", "U", "Co"], "fractional_positions": [[0.000, 0.500, 0.694], [0.500, 0.000, 0.306], [0.500, 0.000, 0.694], [0.000, 0.500, 0.306], [0.500, 0.500, 0.000], [0.000, 0.000, 0.000], [0.000, 0.000, 0.500]]}

---

8.
{"formula": "Ta3W", "functional": "PBE", "state": "relaxed", "spacegroup": "Fm-3m (225)", "e_form_mev_per_atom": -42.8, "cell": [[1.830, -0.070, 4.260], [-2.401, 1.702, 3.583], [-1.716, -2.869, 3.214]], "species": ["Ta", "Ta", "Ta", "W"], "fractional_positions": [[0.500, 0.500, 0.500], [0.750, 0.750, 0.750], [0.250, 0.250, 0.250], [0.000, 0.000, 0.000]]}